Density functional theory data (GGA-PBE) for a relaxed structure of LaMgMnS4.

Lattice parameters (Å, degrees): 7.7376 7.7376 7.7376 120.08 117.48 92.14
With the nearest neighbours (Å) after each atom.
Fractional positions:
La 0.0000 0.0000 0.0000  6 S 2.83-2.84
La 0.5000 0.0000 0.5000  6 S 2.83-2.84
Mg 0.3726 0.6226 0.7500  4 S 2.47-2.56
Mg 0.6274 0.3774 0.2500  4 S 2.47-2.56
Mn 0.0000 0.0000 0.5000  6 S 2.40-2.62
Mn 0.0000 0.5000 0.0000  6 S 2.40-2.62
S 0.2056 0.7364 0.4692  1 Mg 2.56, 2 Mn 2.62, 1 La 2.84
S 0.2238 0.2293 0.5055  1 Mn 2.40, 1 Mg 2.47
S 0.2238 0.7183 0.9945  1 Mn 2.40, 1 Mg 2.47
S 0.2328 0.2636 0.9692  1 Mg 2.56, 2 Mn 2.62, 1 La 2.84
S 0.7672 0.7364 0.0308  1 Mg 2.56, 2 Mn 2.62, 1 La 2.84
S 0.7762 0.2817 0.0055  1 Mn 2.40, 1 Mg 2.47
S 0.7762 0.7707 0.4945  1 Mn 2.40, 1 Mg 2.47
S 0.7944 0.2636 0.5308  1 Mg 2.56, 2 Mn 2.62, 1 La 2.84

Summary:
Calculated total energy ... -5.827 eV per atom
Mass density ... 3.45 Mg/m³
Total magnetic moment ... 0.57 μB per atom
SG ... Imma (74)



Density functional theory data (GGA-PBE) for a relaxed structure of LaMg2Mn3S8.

Lattice parameters (Å, degrees): 7.3930 7.3930 7.6376 118.97 118.97 60.02
With the nearest neighbours (Å) after each atom.
Fractional positions:
La 0.0000 0.0000 0.0000  6 S 2.81-2.82
Mg 0.3759 0.3758 0.1279  4 S 2.48-2.50
Mg 0.6242 0.6241 0.8721  4 S 2.48-2.50
Mn 0.0000 0.0000 0.5000  6 S 2.43-2.59
Mn 0.9998 0.5004 0.5005  6 S 2.43-2.59
Mn 0.4996 0.0002 0.4995  6 S 2.43-2.59
S 0.2187 0.7385 0.6954  2 Mn 2.43, 1 Mg 2.48
S 0.2443 0.2440 0.7324  1 Mg 2.50, 3 Mn 2.59
S 0.2615 0.2618 0.3041  2 Mn 2.43-2.44, 1 Mg 2.48
S 0.2615 0.7813 0.3046  2 Mn 2.43, 1 Mg 2.48
S 0.7383 0.2187 0.6955  2 Mn 2.43, 1 Mg 2.48
S 0.7382 0.7385 0.6959  2 Mn 2.43-2.44, 1 Mg 2.48
S 0.7560 0.7557 0.2676  1 Mg 2.50, 3 Mn 2.59
S 0.7813 0.2617 0.3045  2 Mn 2.43, 1 Mg 2.48

Summary:
Calculated total energy ... -5.882 eV per atom
Mass density ... 3.37 Mg/m³
Total magnetic moment ... 0.86 μB per atom
SG ... C2 (5)



Density functional theory data (GGA-PBE) for a relaxed structure of La3Mg2MnS8.

Lattice parameters (Å, degrees): 7.9012 7.9012 7.9409 118.50 118.50 61.88
With the nearest neighbours (Å) after each atom.
Fractional positions:
La 0.0000 0.0000 0.0000  6 S 2.80-2.88
La 0.0000 0.5000 0.5000  6 S 2.82-2.88
La 0.5000 0.0000 0.5000  6 S 2.82-2.88
Mg 0.3746 0.3746 0.1264  4 S 2.42-2.61
Mg 0.6254 0.6254 0.8736  4 S 2.42-2.61
Mn 0.0000 0.0000 0.5000  6 S 2.56-2.62
S 0.2273 0.2273 0.7336  1 Mn 2.56, 1 Mg 2.61
S 0.2300 0.7633 0.2693  1 Mg 2.57, 1 Mn 2.62, 2 La 2.86-2.88
S 0.2367 0.7700 0.7307  1 Mg 2.57, 1 Mn 2.62, 2 La 2.86-2.88
S 0.2486 0.2486 0.2530  1 Mg 2.42
S 0.7514 0.7514 0.7470  1 Mg 2.42
S 0.7633 0.2300 0.2693  1 Mg 2.57, 1 Mn 2.62, 2 La 2.86-2.88
S 0.7700 0.2367 0.7307  1 Mg 2.57, 1 Mn 2.62, 2 La 2.86-2.88
S 0.7727 0.7727 0.2664  1 Mn 2.56, 1 Mg 2.61

Summary:
Calculated total energy ... -5.811 eV per atom
Mass density ... 3.55 Mg/m³
Total magnetic moment ... 0.29 μB per atom
SG ... C2/m (12)